No. 1
## ScTc2Mo (PBE)

Data for crystalline ScTc2Mo at its relaxed geometry.

electronic total energy: -9.65 eV per atom
V: 63.5 Å³/f.u.
crystal system: cubic

a = 4.4784 Å, b = 4.4784 Å, c = 4.4784 Å
α = 60.00°, β = 60.00°, γ = 60.00°
Fractional coordinates of all 4 atoms:
Sc: 0.0000 0.0000 0.0000
Tc: 0.2500 0.2500 0.2500
Tc: 0.7500 0.7500 0.7500
Mo: 0.5000 0.5000 0.5000

No. 2
## MoSe2 (PBE)

Data for crystalline MoSe2 at its relaxed geometry.

electronic total energy: -6.62 eV per atom
V: 122.0 Å³/f.u.
crystal system: trigonal

a = 3.3269 Å, b = 3.3269 Å, c = 25.4514 Å
α = 90.00°, β = 90.00°, γ = 120.00°
Fractional coordinates of all 6 atoms:
Mo: 0.6667 0.3333 0.1518
Mo: 0.3333 0.6667 0.8482
Se: 0.3333 0.6667 0.2175
Se: 0.6667 0.3333 0.9139
Se: 0.3333 0.6667 0.0861
Se: 0.6667 0.3333 0.7825

No. 3
## MoSe2 (PBE)

Data for crystalline MoSe2 at its relaxed geometry.

maximum piezoelectric response: 0.3 C/m²
electronic total energy: -6.62 eV per atom
V: 169.9 Å³/f.u.
crystal system: hexagonal

a = 3.3269 Å, b = 3.3269 Å, c = 17.7257 Å
α = 90.00°, β = 90.00°, γ = 120.00°
Fractional coordinates of all 3 atoms:
Mo: 0.0000 0.0000 0.0000
Se: 0.3333 0.6667 0.0944
Se: 0.3333 0.6667 0.9056

No. 4
## MoSe2 (PBE)

Data for crystalline MoSe2 at its relaxed geometry.

electronic total energy: -6.62 eV per atom
V: 68.5 Å³/f.u.
crystal system: hexagonal

a = 3.3287 Å, b = 3.3287 Å, c = 14.2726 Å
α = 90.00°, β = 90.00°, γ = 120.00°
Fractional coordinates of all 6 atoms:
Mo: 0.0000 0.0000 0.2500
Mo: 0.0000 0.0000 0.7500
Se: 0.3333 0.6667 0.3671
Se: 0.6667 0.3333 0.6329
Se: 0.6667 0.3333 0.8671
Se: 0.3333 0.6667 0.1329

No. 5
## Mo9Se11 (PBE)

Data for crystalline Mo9Se11 at its relaxed geometry.

electronic total energy: -7.28 eV per atom
spin magnetization: 0.000 μB per atom
V: 452.8 Å³/f.u.
crystal system: orthorhombic
distance to the lowest polymorph of the same formula: 16 meV/atom

a = 9.0240 Å, b = 9.0240 Å, c = 11.1789 Å
α = 90.00°, β = 90.00°, γ = 95.79°
Fractional coordinates of all 40 atoms:
Mo: 0.4816 0.9007 0.3702
Mo: 0.5184 0.0993 0.8702
Mo: 0.9007 0.4816 0.6298
Mo: 0.0993 0.5184 0.1298
Mo: 0.5184 0.0993 0.6298
Mo: 0.4816 0.9007 0.1298
Mo: 0.0993 0.5184 0.3702
Mo: 0.9007 0.4816 0.8702
Mo: 0.6930 0.9272 0.7500
Mo: 0.3070 0.0728 0.2500
Mo: 0.9272 0.6930 0.2500
Mo: 0.0728 0.3070 0.7500
Mo: 0.3531 0.6469 0.2500
Mo: 0.6469 0.3531 0.7500
Mo: 0.8220 0.1780 0.6285
Mo: 0.1780 0.8220 0.1285
Mo: 0.1780 0.8220 0.3715
Mo: 0.8220 0.1780 0.8715
Se: 0.4139 0.8716 0.7500
Se: 0.5861 0.1284 0.2500
Se: 0.8716 0.4139 0.2500
Se: 0.1284 0.5861 0.7500
Se: 0.9441 0.7081 0.4818
Se: 0.0559 0.2919 0.9818
Se: 0.7081 0.9441 0.5182
Se: 0.2919 0.0559 0.0182
Se: 0.0559 0.2919 0.5182
Se: 0.9441 0.7081 0.0182
Se: 0.2919 0.0559 0.4818
Se: 0.7081 0.9441 0.9818
Se: 0.3661 0.2795 0.7500
Se: 0.6339 0.7205 0.2500
Se: 0.2795 0.3661 0.2500
Se: 0.7205 0.6339 0.7500
Se: 0.6544 0.3456 0.5176
Se: 0.3456 0.6544 0.0176
Se: 0.9879 0.0121 0.7500
Se: 0.0121 0.9879 0.2500
Se: 0.6544 0.3456 0.9824
Se: 0.3456 0.6544 0.4824

No. 6
## MoSe2 (PBE)

Data for crystalline MoSe2 at its relaxed geometry.

electronic total energy: -6.62 eV per atom
V: 74.1 Å³/f.u.
crystal system: hexagonal

a = 3.3269 Å, b = 3.3269 Å, c = 15.4514 Å
α = 90.00°, β = 90.00°, γ = 120.00°
Fractional coordinates of all 6 atoms:
Mo: 0.6667 0.3333 0.7500
Mo: 0.3333 0.6667 0.2500
Se: 0.3333 0.6667 0.8582
Se: 0.6667 0.3333 0.3582
Se: 0.3333 0.6667 0.6418
Se: 0.6667 0.3333 0.1417

No. 7
## Mo9Se11 (PBE)

Data for crystalline Mo9Se11 at its relaxed geometry.

electronic total energy: -7.29 eV per atom
spin magnetization: 0.000 μB per atom
V: 485.1 Å³/f.u.
crystal system: hexagonal
distance to the lowest polymorph of the same formula: 0 meV/atom

a = 9.5467 Å, b = 9.5467 Å, c = 12.2910 Å
α = 90.00°, β = 90.00°, γ = 120.00°
Fractional coordinates of all 40 atoms:
Mo: 0.8394 0.3563 0.4388
Mo: 0.6807 0.1785 0.2500
Mo: 0.6437 0.4831 0.0612
Mo: 0.5169 0.1606 0.4388
Mo: 0.4831 0.8394 0.5612
Mo: 0.6437 0.4831 0.4388
Mo: 0.3563 0.5169 0.9388
Mo: 0.8215 0.5022 0.2500
Mo: 0.1606 0.6437 0.9388
Mo: 0.1606 0.6437 0.5612
Mo: 0.1785 0.4978 0.7500
Mo: 0.8394 0.3563 0.0612
Mo: 0.4978 0.3193 0.2500
Mo: 0.3563 0.5169 0.5612
Mo: 0.4831 0.8394 0.9388
Mo: 0.5022 0.6807 0.7500
Mo: 0.3193 0.8215 0.7500
Mo: 0.5169 0.1606 0.0612
Se: 0.6667 0.3333 0.6022
Se: 0.3333 0.6667 0.3978
Se: 0.7071 0.0405 0.4217
Se: 0.6300 0.9938 0.7500
Se: 0.6666 0.7071 0.9217
Se: 0.2929 0.9595 0.9217
Se: 0.7071 0.0405 0.0783
Se: 0.0405 0.3334 0.5783
Se: 0.0405 0.3334 0.9217
Se: 0.6362 0.6300 0.2500
Se: 0.3638 0.3700 0.7500
Se: 0.3700 0.0062 0.2500
Se: 0.3334 0.2929 0.0783
Se: 0.3334 0.2929 0.4217
Se: 0.2929 0.9595 0.5783
Se: 0.9938 0.3638 0.2500
Se: 0.3333 0.6667 0.1022
Se: 0.9595 0.6666 0.0783
Se: 0.9595 0.6666 0.4217
Se: 0.6666 0.7071 0.5783
Se: 0.0062 0.6362 0.7500
Se: 0.6667 0.3333 0.8978

No. 8
## Mo3Se4 (PBE)

Data for crystalline Mo3Se4 at its relaxed geometry.

electronic total energy: -6.44 eV per atom
spin magnetization: 0.011 μB per atom
V: 159.6 Å³/f.u.
crystal system: triclinic
distance to the lowest polymorph of the same formula: 718 meV/atom

a = 10.5462 Å, b = 4.7213 Å, c = 8.5295 Å
α = 66.42°, β = 109.90°, γ = 123.90°
Fractional coordinates of all 14 atoms:
Mo: 0.0595 0.7702 0.8921
Mo: 0.4684 0.4771 0.3520
Mo: 0.2341 0.3661 0.9769
Mo: 0.9405 0.2298 0.1079
Mo: 0.5316 0.5229 0.6480
Mo: 0.7659 0.6339 0.0231
Se: 0.1889 0.2531 0.2666
Se: 0.5134 0.0538 0.3223
Se: 0.8844 0.4131 0.3112
Se: 0.8111 0.7469 0.7334
Se: 0.4866 0.9462 0.6777
Se: 0.1156 0.5869 0.6888
Se: 0.6205 0.8452 0.0757
Se: 0.3795 0.1548 0.9243

No. 9
## MoSe2 (PBE)

Data for crystalline MoSe2 at its relaxed geometry.

maximum piezoelectric response: 0.7 C/m²
electronic total energy: -6.62 eV per atom
V: 70.6 Å³/f.u.
crystal system: trigonal

a = 7.6092 Å, b = 7.6092 Å, c = 7.6092 Å
α = 25.26°, β = 25.26°, γ = 25.26°
Fractional coordinates of all 3 atoms:
Mo: 0.6668 0.6668 0.6668
Se: 0.4092 0.4092 0.4092
Se: 0.2577 0.2577 0.2577

No. 10
## MoSe2 (PBE)

Data for crystalline MoSe2 at its relaxed geometry.

electronic total energy: -6.62 eV per atom
V: 98.0 Å³/f.u.
crystal system: trigonal

a = 3.3269 Å, b = 3.3269 Å, c = 40.9028 Å
α = 90.00°, β = 90.00°, γ = 120.00°
Fractional coordinates of all 12 atoms:
Mo: 0.6667 0.3333 0.9056
Mo: 0.6667 0.3333 0.2833
Mo: 0.3333 0.6667 0.7167
Mo: 0.3333 0.6667 0.0944
Se: 0.3333 0.6667 0.9465
Se: 0.3333 0.6667 0.3242
Se: 0.6667 0.3333 0.7576
Se: 0.6667 0.3333 0.1353
Se: 0.3333 0.6667 0.8647
Se: 0.3333 0.6667 0.2424
Se: 0.6667 0.3333 0.6758
Se: 0.6667 0.3333 0.0535

No. 11
## Mo3Se4 (PBE)

Data for crystalline Mo3Se4 at its relaxed geometry.

electronic total energy: -7.16 eV per atom
spin magnetization: 0.000 μB per atom
V: 153.8 Å³/f.u.
crystal system: trigonal
distance to the lowest polymorph of the same formula: 0 meV/atom

a = 6.7534 Å, b = 6.7534 Å, c = 6.7534 Å
α = 91.64°, β = 91.64°, γ = 91.64°
Fractional coordinates of all 14 atoms:
Mo: 0.4538 0.5859 0.7743
Mo: 0.7743 0.4538 0.5859
Mo: 0.5859 0.7743 0.4538
Mo: 0.5462 0.4141 0.2257
Mo: 0.2257 0.5462 0.4141
Mo: 0.4141 0.2257 0.5462
Se: 0.7836 0.7836 0.7836
Se: 0.2164 0.2164 0.2164
Se: 0.2570 0.8718 0.6186
Se: 0.6186 0.2570 0.8718
Se: 0.8718 0.6186 0.2570
Se: 0.7430 0.1282 0.3814
Se: 0.3814 0.7430 0.1282
Se: 0.1282 0.3814 0.7430

No. 12
## MoSe2 (PBE)

Data for crystalline MoSe2 at its relaxed geometry.

electronic total energy: -6.62 eV per atom
V: 106.0 Å³/f.u.
crystal system: hexagonal

a = 3.3269 Å, b = 3.3269 Å, c = 33.1771 Å
α = 90.00°, β = 90.00°, γ = 120.00°
Fractional coordinates of all 9 atoms:
Mo: 0.6667 0.3333 0.0000
Mo: 0.3333 0.6667 0.7671
Mo: 0.3333 0.6667 0.2329
Se: 0.3333 0.6667 0.0504
Se: 0.6667 0.3333 0.8176
Se: 0.6667 0.3333 0.2833
Se: 0.3333 0.6667 0.9496
Se: 0.6667 0.3333 0.7167
Se: 0.6667 0.3333 0.1824

No. 13
## Mo3Se (PBE)

Data for crystalline Mo3Se at its relaxed geometry.

electronic total energy: -8.68 eV per atom
spin magnetization: 0.000 μB per atom
V: 63.3 Å³/f.u.
crystal system: cubic

a = 5.0199 Å, b = 5.0199 Å, c = 5.0199 Å
α = 90.00°, β = 90.00°, γ = 90.00°
Fractional coordinates of all 8 atoms:
Mo: 0.2500 0.0000 0.5000
Mo: 0.7500 0.0000 0.5000
Mo: 0.5000 0.2500 0.0000
Mo: 0.5000 0.7500 0.0000
Mo: 0.0000 0.5000 0.2500
Mo: 0.0000 0.5000 0.7500
Se: 0.0000 0.0000 0.0000
Se: 0.5000 0.5000 0.5000